[1]
First-principles (GGA+U) data for Fe6PbS4O28 after structural relaxation, as listed in Materials Project.

Unit cell a=12.625 b=12.625 c=12.625 alpha=32.41 beta=32.41 gamma=32.41
Fractional positions:
Fe 0.259 0.259 0.740
Fe 0.259 0.740 0.259
Fe 0.260 0.741 0.741
Fe 0.740 0.259 0.259
Fe 0.741 0.260 0.741
Fe 0.741 0.741 0.260
Pb 0.000 0.000 0.000
S 0.153 0.153 0.153
S 0.346 0.346 0.346
S 0.654 0.654 0.654
S 0.847 0.847 0.847
O 0.042 0.042 0.711
O 0.042 0.711 0.042
O 0.093 0.744 0.744
O 0.173 0.557 0.557
O 0.194 0.194 0.194
O 0.245 0.245 0.592
O 0.245 0.592 0.245
O 0.256 0.256 0.907
O 0.256 0.907 0.256
O 0.289 0.958 0.958
O 0.305 0.305 0.305
O 0.408 0.755 0.755
O 0.443 0.443 0.827
O 0.443 0.827 0.443
O 0.557 0.173 0.557
O 0.557 0.557 0.173
O 0.592 0.245 0.245
O 0.695 0.695 0.695
O 0.711 0.042 0.042
O 0.744 0.093 0.744
O 0.744 0.744 0.093
O 0.755 0.408 0.755
O 0.755 0.755 0.408
O 0.806 0.806 0.806
O 0.827 0.443 0.443
O 0.907 0.256 0.256
O 0.958 0.289 0.958
O 0.958 0.958 0.289

Values from the calculation:
size of the total moment = 26.0 Bohr magnetons per cell
formation energy from the elements = -50.09 eV/f.u.



[2]
First-principles (GGA+U) data for Fe3PbS2O14 after structural relaxation, as listed in Materials Project.

Unit cell a=7.223 b=7.223 c=7.223 alpha=57.59 beta=57.59 gamma=57.59
Fractional positions:
Fe 0.000 0.500 0.500
Fe 0.500 0.000 0.500
Fe 0.500 0.500 0.000
Pb 0.500 0.500 0.500
S 0.189 0.189 0.189
S 0.811 0.811 0.811
O 0.014 0.663 0.663
O 0.110 0.110 0.110
O 0.242 0.242 0.605
O 0.242 0.605 0.242
O 0.337 0.337 0.986
O 0.337 0.986 0.337
O 0.395 0.758 0.758
O 0.605 0.242 0.242
O 0.663 0.014 0.663
O 0.663 0.663 0.014
O 0.758 0.395 0.758
O 0.758 0.758 0.395
O 0.890 0.890 0.890
O 0.986 0.337 0.337

Values from the calculation:
size of the total moment = 13.6 Bohr magnetons per cell
formation energy from the elements = -27.57 eV/f.u.



no.,energy (Ry per atom)
1,-0.42769
2,-0.43308